Here is Te2Mo2WSe2S2 after structural relaxation from the Materials Project database. Energies are from GGA-PBE.

The space group is P3m1 (No. 156) and the conventional cell measures 3.3481, 3.3481 and 31.9393 Å, with angles of 90.00, 90.00 and 120.00 degrees. The inequivalent atoms are Te at (0.0000, 0.0000, 0.0000), Te at (0.0000, 0.0000, 0.1188), Mo at (0.0000, 0.0000, 0.8286), Mo at (0.3333, 0.6667, 0.0594), W at (0.0000, 0.0000, 0.2931), Se at (0.3333, 0.6667, 0.2407), Se at (0.3333, 0.6667, 0.3455), S at (0.3333, 0.6667, 0.7811) and S at (0.3333, 0.6667, 0.8761).

For the energy above the most stable polymorph in this dataset, the calculation gives 20 meV per atom. The calculated volume is 34.45 Å³/atom. The value obtained for the formation enthalpy at 0 K is -0.63 eV per atom.